(1)
Density functional theory data (PBE-GGA) for an optimized crystal structure of GeSe.

Cell: 4.006 4.006 4.006 Å, 60.00 60.00 60.00°
Fractional positions:
Se1 0.500 0.500 0.500
Ge1 0.000 0.000 0.000

(2)
Density functional theory data (PBE-GGA) for an optimized crystal structure of GeSe.

Cell: 3.878 4.550 11.142 Å, 90.00 90.00 90.00°
Fractional positions:
Se1 0.750 0.004 0.648
Se2 0.250 0.504 0.852
Se3 0.250 0.996 0.352
Se4 0.750 0.496 0.148
Ge1 0.750 0.617 0.375
Ge2 0.250 0.383 0.625
Ge3 0.250 0.117 0.125
Ge4 0.750 0.883 0.875

One value per record, in order, for corrected total energy (MP2020 scheme): -4.503, -4.511 eV per atom.